## Na3GdP2O8 (GGA-PBE)

Data for a geometry-optimized Na3GdP2O8 structure.

a = 14.1890 Å, b = 14.1890 Å, c = 14.0643 Å
α = 91.28°, β = 91.28°, γ = 21.82°
Closest atoms and distances in Å follow each position.
Positions (direct):
Na1 0.0000 0.0000 0.0000  6 O 2.37-2.57
Na2 0.0000 0.0000 0.5000  6 O 2.37-2.57
Na3 0.1093 0.1277 0.6368  5 O 2.35-2.60
Na4 0.1277 0.1093 0.1368  5 O 2.35-2.60
Na5 0.2170 0.2255 0.3230  4 O 2.34-2.61
Na6 0.2255 0.2170 0.8230  4 O 2.34-2.61
Na7 0.3462 0.3508 0.2339  3 O 2.26-2.50
Na8 0.3508 0.3462 0.7339  3 O 2.26-2.50
Na9 0.4071 0.4839 0.5801  6 O 2.40-2.60
Na10 0.4839 0.4071 0.0801  6 O 2.40-2.60
Na11 0.5161 0.5929 0.9199  6 O 2.40-2.60
Na12 0.5929 0.5161 0.4199  6 O 2.40-2.60
Na13 0.6492 0.6538 0.2661  3 O 2.26-2.50
Na14 0.6538 0.6492 0.7661  3 O 2.26-2.50
Na15 0.7745 0.7830 0.1770  4 O 2.34-2.61
Na16 0.7830 0.7745 0.6770  4 O 2.34-2.61
Na17 0.8723 0.8907 0.8632  5 O 2.35-2.60
Na18 0.8907 0.8723 0.3632  5 O 2.35-2.60
Gd1 0.0961 0.9039 0.2500  6 O 2.38-2.40
Gd2 0.3094 0.3347 0.4852  6 O 2.30-2.42
Gd3 0.3347 0.3094 0.9852  6 O 2.30-2.42
Gd4 0.6653 0.6906 0.0148  6 O 2.30-2.42
Gd5 0.6906 0.6653 0.5148  6 O 2.30-2.42
Gd6 0.9039 0.0961 0.7500  6 O 2.38-2.40
P1 0.0987 0.1246 0.8900  4 O 1.54-1.56
P2 0.1246 0.0987 0.3900  4 O 1.54-1.56
P3 0.2254 0.2327 0.1038  4 O 1.55-1.56
P4 0.2327 0.2254 0.6038  4 O 1.55-1.56
P5 0.4063 0.4777 0.8479  4 O 1.55-1.56
P6 0.4777 0.4063 0.3479  4 O 1.55-1.56
P7 0.5223 0.5937 0.6521  4 O 1.55-1.56
P8 0.5937 0.5223 0.1521  4 O 1.55-1.56
P9 0.7673 0.7746 0.3962  4 O 1.55-1.56
P10 0.7746 0.7673 0.8962  4 O 1.55-1.56
P11 0.8754 0.9013 0.6100  4 O 1.54-1.56
P12 0.9013 0.8754 0.1100  4 O 1.54-1.56
O1 0.0223 0.5734 0.3547  1 P 1.56
O2 0.0391 0.5512 0.8598  1 P 1.55
O3 0.0484 0.0637 0.3755  1 P 1.56
O4 0.0482 0.7008 0.5285  1 P 1.56
O5 0.0637 0.0484 0.8755  1 P 1.56
O6 0.0887 0.1877 0.2985  1 P 1.54
O7 0.1479 0.7716 0.8504  1 P 1.56
O8 0.1570 0.5931 0.0768  1 P 1.56
O9 0.1877 0.0887 0.7985  1 P 1.54
O10 0.2221 0.2332 0.4935  1 P 1.55
O11 0.2284 0.8521 0.6496  1 P 1.56
O12 0.2332 0.2221 0.9935  1 P 1.55
O13 0.2799 0.2856 0.6364  1 P 1.56
O14 0.2856 0.2799 0.1364  1 P 1.56
O15 0.2992 0.9518 0.9715  1 P 1.56
O16 0.3409 0.6088 0.4107  1 P 1.55
O17 0.3569 0.4212 0.8803  1 P 1.55
O18 0.3693 0.5171 0.2454  1 P 1.56
O19 0.3912 0.6591 0.0893  1 P 1.55
O20 0.4069 0.8430 0.4232  1 P 1.56
O21 0.4212 0.3569 0.3803  1 P 1.55
O22 0.4266 0.9777 0.1453  1 P 1.56
O23 0.4488 0.9609 0.6402  1 P 1.55
O24 0.4829 0.6307 0.2546  1 P 1.56
O25 0.5171 0.3693 0.7454  1 P 1.56
O26 0.5512 0.0391 0.3598  1 P 1.55
O27 0.5734 0.0223 0.8547  1 P 1.56
O28 0.5788 0.6431 0.6197  1 P 1.55
O29 0.5931 0.1570 0.5768  1 P 1.56
O30 0.6088 0.3409 0.9107  1 P 1.55
O31 0.6307 0.4829 0.7546  1 P 1.56
O32 0.6431 0.5788 0.1197  1 P 1.55
O33 0.6591 0.3912 0.5893  1 P 1.55
O34 0.7008 0.0482 0.0285  1 P 1.56
O35 0.7144 0.7201 0.8636  1 P 1.56
O36 0.7201 0.7144 0.3636  1 P 1.56
O37 0.7668 0.7779 0.0065  1 P 1.55
O38 0.7716 0.1479 0.3504  1 P 1.56
O39 0.7779 0.7668 0.5065  1 P 1.55
O40 0.8123 0.9113 0.2015  1 P 1.54
O41 0.8430 0.4069 0.9232  1 P 1.56
O42 0.8521 0.2284 0.1496  1 P 1.56
O43 0.9113 0.8123 0.7015  1 P 1.54
O44 0.9363 0.9516 0.1245  1 P 1.56
O45 0.9518 0.2992 0.4715  1 P 1.56
O46 0.9516 0.9363 0.6245  1 P 1.56
O47 0.9609 0.4488 0.1402  1 P 1.55
O48 0.9777 0.4266 0.6453  1 P 1.56

VASP energy in Ha/atom: -0.2733

=====

## SrCaTbBiO6 (GGA-PBE)

Data for a geometry-optimized SrCaTbBiO6 structure.

a = 8.4802 Å, b = 8.4895 Å, c = 8.4908 Å
α = 90.00°, β = 90.00°, γ = 90.00°
Closest atoms and distances in Å follow each position.
Positions (direct):
Sr1 0.0000 0.0000 0.0000  4 O 2.49
Sr2 0.0000 0.0000 0.5000  4 O 2.51
Sr3 0.5000 0.0000 0.0000  4 O 2.51
Sr4 0.5000 0.5000 0.5000  4 O 2.50
Ca1 0.0000 0.5000 0.0000  12 O 2.96-3.00
Ca2 0.0000 0.5000 0.5000  4 O 2.39
Ca3 0.5000 0.0000 0.5000  12 O 2.96-2.99
Ca4 0.5000 0.5000 0.0000  4 O 2.39
Tb1 0.2497 0.2522 0.2500  6 O 2.24-2.27
Tb2 0.2497 0.7478 0.7500  6 O 2.24-2.27
Tb3 0.7503 0.2522 0.7500  6 O 2.24-2.27
Tb4 0.7503 0.7478 0.2500  6 O 2.24-2.27
Bi1 0.2497 0.2525 0.7498  6 O 2.12-2.14
Bi2 0.2497 0.7475 0.2502  6 O 2.12-2.14
Bi3 0.7503 0.2525 0.2502  6 O 2.12-2.14
Bi4 0.7503 0.7475 0.7498  6 O 2.12-2.14
O1 0.0072 0.2150 0.8003  1 Bi 2.12, 1 Tb 2.24
O2 0.0072 0.7850 0.1997  1 Bi 2.12, 1 Tb 2.24
O3 0.1939 0.4929 0.7039  1 Bi 2.13, 1 Tb 2.25
O4 0.1939 0.5071 0.2961  1 Bi 2.13, 1 Tb 2.25
O5 0.2157 0.2022 0.5068  1 Bi 2.13, 1 Tb 2.24
O6 0.2157 0.7978 0.4932  1 Bi 2.13, 1 Tb 2.24
O7 0.2936 0.3079 0.9920  1 Bi 2.14, 1 Tb 2.27, 1 Ca 2.39
O8 0.2936 0.6921 0.0080  1 Bi 2.14, 1 Tb 2.27, 1 Ca 2.39
O9 0.2948 0.0076 0.7868  1 Bi 2.14, 1 Tb 2.26
O10 0.2948 0.9924 0.2132  1 Bi 2.14, 1 Tb 2.26
O11 0.4932 0.2868 0.7029  1 Bi 2.12, 1 Tb 2.24
O12 0.4932 0.7132 0.2971  1 Bi 2.12, 1 Tb 2.24
O13 0.5068 0.2868 0.2971  1 Bi 2.12, 1 Tb 2.24
O14 0.5068 0.7132 0.7029  1 Bi 2.12, 1 Tb 2.24
O15 0.7052 0.0076 0.2132  1 Bi 2.14, 1 Tb 2.26
O16 0.7052 0.9924 0.7868  1 Bi 2.14, 1 Tb 2.26
O17 0.7064 0.3079 0.0080  1 Bi 2.14, 1 Tb 2.27, 1 Ca 2.39
O18 0.7064 0.6921 0.9920  1 Bi 2.14, 1 Tb 2.27, 1 Ca 2.39
O19 0.7843 0.2022 0.4932  1 Bi 2.13, 1 Tb 2.24
O20 0.7843 0.7978 0.5068  1 Bi 2.13, 1 Tb 2.24
O21 0.8061 0.4929 0.2961  1 Bi 2.13, 1 Tb 2.25
O22 0.8061 0.5071 0.7039  1 Bi 2.13, 1 Tb 2.25
O23 0.9928 0.2150 0.1997  1 Bi 2.12, 1 Tb 2.24
O24 0.9928 0.7850 0.8003  1 Bi 2.12, 1 Tb 2.24

VASP energy in Ha/atom: -0.2409

=====

## Pm2TlAg (GGA-PBE)

Data for a geometry-optimized Pm2TlAg structure.

a = 5.4095 Å, b = 5.4095 Å, c = 5.4095 Å
α = 60.00°, β = 60.00°, γ = 60.00°
Closest atoms and distances in Å follow each position.
Positions (direct):
Pm1 0.2500 0.2500 0.2500  4 Ag 3.31, 4 Tl 3.31
Pm2 0.7500 0.7500 0.7500  4 Tl 3.31, 4 Ag 3.31
Tl1 0.0000 0.0000 0.0000  8 Pm 3.31
Ag1 0.5000 0.5000 0.5000  8 Pm 3.31

VASP energy in Ha/atom: -0.1472

=====

## RbBi2Br7 (GGA-PBE)

Data for a geometry-optimized RbBi2Br7 structure.

a = 7.8196 Å, b = 9.8490 Å, c = 10.7038 Å
α = 75.94°, β = 83.94°, γ = 76.55°
Closest atoms and distances in Å follow each position.
Positions (direct):
Rb1 0.1116 0.1397 0.1933  11 Br 3.86-4.23
Rb2 0.8884 0.8603 0.8067  11 Br 3.86-4.23
Bi1 0.1916 0.2947 0.5664  3 Br 2.68-2.80
Bi2 0.3706 0.6425 0.1244  5 Br 2.69-2.97
Bi3 0.6294 0.3575 0.8756  5 Br 2.69-2.97
Bi4 0.8084 0.7053 0.4336  3 Br 2.68-2.80
Br1 0.0053 0.7728 0.1679  2 Bi 2.89-3.09
Br2 0.1182 0.6226 0.5669  1 Bi 2.80
Br3 0.2228 0.0217 0.5544  1 Bi 2.68
Br4 0.2656 0.4845 0.9515  2 Bi 2.94-2.97
Br5 0.3744 0.8688 0.9250  1 Bi 2.69
Br6 0.3835 0.3488 0.3326  1 Bi 2.78
Br7 0.4655 0.7928 0.2925  2 Bi 2.84-3.06
Br8 0.5345 0.2072 0.7075  2 Bi 2.84-3.06
Br9 0.6165 0.6512 0.6674  1 Bi 2.78
Br10 0.6256 0.1312 0.0750  1 Bi 2.69
Br11 0.7344 0.5155 0.0485  2 Bi 2.94-2.97
Br12 0.7772 0.9783 0.4456  1 Bi 2.68
Br13 0.8818 0.3774 0.4331  1 Bi 2.80
Br14 0.9947 0.2272 0.8321  2 Bi 2.89-3.09

VASP energy in Ha/atom: -0.1099

=====

## TmPPt (GGA-PBE)

Data for a geometry-optimized TmPPt structure.

a = 4.1162 Å, b = 4.1162 Å, c = 3.8134 Å
α = 90.00°, β = 90.00°, γ = 120.00°
Closest atoms and distances in Å follow each position.
Positions (direct):
Tm1 0.0000 0.0000 0.0000  6 P 3.05, 6 Pt 3.05
P1 0.6667 0.3333 0.5000  3 Pt 2.38
Pt1 0.3333 0.6667 0.5000  3 P 2.38

VASP energy in Ha/atom: -0.2441

=====

## Ba6MgSc2C2O6F14 (GGA-PBE)

Data for a geometry-optimized Ba6MgSc2C2O6F14 structure.

a = 9.0796 Å, b = 6.2748 Å, c = 9.0970 Å
α = 90.00°, β = 98.98°, γ = 90.00°
Closest atoms and distances in Å follow each position.
Positions (direct):
Ba1 0.0000 0.0000 0.0000  1 O 2.70, 4 F 2.70-2.76
Ba2 0.0523 0.0000 0.5082  8 F 2.78-2.86
Ba3 0.2352 0.5000 0.3265  5 F 2.63-2.64
Ba4 0.2954 0.5000 0.7683  6 F 2.57-2.81
Ba5 0.5594 0.0000 0.5602  4 F 2.69-2.75, 1 O 2.70
Ba6 0.7936 0.5000 0.2657  6 F 2.57-2.81
Mg1 0.4551 0.5000 0.1061  1 O 1.87, 4 F 1.94-1.95
Sc1 0.4366 0.0000 0.1232  5 F 2.07-2.28
Sc2 0.8784 0.5000 0.6814  5 F 2.19-2.28, 2 O 2.29
C1 0.6336 0.0000 0.9252  3 O 1.29-1.31
C2 0.6857 0.5000 0.8757  3 O 1.30-1.32
O1 0.4890 0.0000 0.8800  1 C 1.31
O2 0.5906 0.5000 0.9714  1 C 1.32
O3 0.6393 0.5000 0.7325  1 C 1.30
O4 0.6783 0.0000 0.0696  1 C 1.31
O5 0.7275 0.0000 0.8321  1 C 1.29
O6 0.8293 0.5000 0.9209  1 C 1.31
F1 0.0087 0.2399 0.2474  4 Ba 2.57-2.79
F2 0.0087 0.7601 0.2474  4 Ba 2.57-2.79
F3 0.0429 0.5000 0.5162  1 Sc 2.28
F4 0.0443 0.2571 0.7649  1 Sc 2.19
F5 0.0443 0.7429 0.7649  1 Sc 2.19
F6 0.2894 0.0000 0.2754  1 Sc 2.07
F7 0.2991 0.2921 0.0427  1 Mg 1.95
F8 0.2991 0.7079 0.0427  1 Mg 1.95
F9 0.3129 0.2410 0.5532  4 Ba 2.57-2.78
F10 0.3129 0.7590 0.5532  4 Ba 2.57-2.78
F11 0.5193 0.2916 0.2611  1 Mg 1.94
F12 0.5193 0.7084 0.2611  1 Mg 1.94
F13 0.7942 0.2573 0.5158  1 Sc 2.19
F14 0.7942 0.7427 0.5158  1 Sc 2.19

VASP energy in Ha/atom: -0.2338

=====

What did the fourth record say?
## RbBi2Br7 (GGA-PBE)

Data for a geometry-optimized RbBi2Br7 structure.

a = 7.8196 Å, b = 9.8490 Å, c = 10.7038 Å
α = 75.94°, β = 83.94°, γ = 76.55°
Closest atoms and distances in Å follow each position.
Positions (direct):
Rb1 0.1116 0.1397 0.1933  11 Br 3.86-4.23
Rb2 0.8884 0.8603 0.8067  11 Br 3.86-4.23
Bi1 0.1916 0.2947 0.5664  3 Br 2.68-2.80
Bi2 0.3706 0.6425 0.1244  5 Br 2.69-2.97
Bi3 0.6294 0.3575 0.8756  5 Br 2.69-2.97
Bi4 0.8084 0.7053 0.4336  3 Br 2.68-2.80
Br1 0.0053 0.7728 0.1679  2 Bi 2.89-3.09
Br2 0.1182 0.6226 0.5669  1 Bi 2.80
Br3 0.2228 0.0217 0.5544  1 Bi 2.68
Br4 0.2656 0.4845 0.9515  2 Bi 2.94-2.97
Br5 0.3744 0.8688 0.9250  1 Bi 2.69
Br6 0.3835 0.3488 0.3326  1 Bi 2.78
Br7 0.4655 0.7928 0.2925  2 Bi 2.84-3.06
Br8 0.5345 0.2072 0.7075  2 Bi 2.84-3.06
Br9 0.6165 0.6512 0.6674  1 Bi 2.78
Br10 0.6256 0.1312 0.0750  1 Bi 2.69
Br11 0.7344 0.5155 0.0485  2 Bi 2.94-2.97
Br12 0.7772 0.9783 0.4456  1 Bi 2.68
Br13 0.8818 0.3774 0.4331  1 Bi 2.80
Br14 0.9947 0.2272 0.8321  2 Bi 2.89-3.09

VASP energy in Ha/atom: -0.1099